Below is a relaxed structure of LiMgFe10O16, with properties calculated at the PBE with a Hubbard U level.

Structure (POSCAR):
```
LiMgFe10O16
1.0
2.9879 1.7251 9.5903
-2.9879 1.7251 9.5903
0.0000 -3.4502 9.5903
Li Mg Fe O
1 1 10 16
direct
0.0000 0.0000 0.0000 Li
0.8134 0.8134 0.8134 Mg
0.1921 0.1921 0.1921 Fe
0.2480 0.2480 0.7552 Fe
0.2480 0.7552 0.2480 Fe
0.2503 0.7515 0.7515 Fe
0.3089 0.3089 0.3089 Fe
0.5017 0.5017 0.5017 Fe
0.6891 0.6891 0.6891 Fe
0.7515 0.2503 0.7515 Fe
0.7515 0.7515 0.2503 Fe
0.7552 0.2480 0.2480 Fe
0.1118 0.1118 0.6366 O
0.1118 0.6366 0.1118 O
0.1206 0.1206 0.1206 O
0.1625 0.6072 0.6072 O
0.3693 0.8840 0.8840 O
0.3772 0.3772 0.3772 O
0.3995 0.3995 0.8375 O
0.3995 0.8375 0.3995 O
0.6072 0.1625 0.6072 O
0.6072 0.6072 0.1625 O
0.6209 0.6209 0.6209 O
0.6366 0.1118 0.1118 O
0.8375 0.3995 0.3995 O
0.8829 0.8829 0.8829 O
0.8840 0.3693 0.8840 O
0.8840 0.8840 0.3693 O
```

Calculated values
For the total DFT energy (no corrections), the calculation gives -6.501 eV per atom. The value obtained for the formation enthalpy at 0 K is -1.722 eV per atom.